MgMn6O8F4: optimized geometry, GGA+U.

a b c (Å): 8.146 5.711 5.836
angles (deg): 68.78 67.36 67.23
Sites, in units of the cell vectors:
Mg: 0.844 0.646 0.174
Mn: 0.841 0.708 0.680
Mn: 0.640 0.311 0.351
Mn: 0.300 0.656 0.679
Mn: 0.211 0.326 0.348
Mn: 0.472 0.983 0.009
Mn: 0.989 0.071 0.960
O: 0.656 0.041 0.670
O: 0.331 0.354 0.986
O: 0.914 0.256 0.212
O: 0.001 0.788 0.811
O: 0.374 0.424 0.470
O: 0.319 0.953 0.369
O: 0.643 0.631 0.061
O: 0.012 0.350 0.666
F: 0.289 0.891 0.872
F: 0.692 0.603 0.537
F: 0.705 0.039 0.136
F: 0.025 0.720 0.270

polymorph energy (0 for the lowest one) = 51 meV per atom
crystal system = triclinic
total moment = 24.0 μB per formula unit
energy of formation = -218 kJ per mole of atoms
volume = 223.7 Å³/cell

***

Fe10OF19: optimized geometry, GGA+U.

a b c (Å): 17.417 17.417 3.270
angles (deg): 90.00 90.00 157.47
Sites, in units of the cell vectors:
Fe: 0.988 0.988 0.000
Fe: 0.528 0.528 0.500
Fe: 0.599 0.399 0.000
Fe: 0.100 0.900 0.500
Fe: 0.700 0.300 0.500
Fe: 0.200 0.800 0.000
Fe: 0.800 0.200 0.000
Fe: 0.900 0.100 0.500
Fe: 0.300 0.700 0.500
Fe: 0.399 0.599 0.000
O: 0.686 0.686 0.000
F: 0.306 0.306 0.000
F: 0.897 0.697 0.000
F: 0.551 0.434 0.500
F: 0.047 0.966 0.500
F: 0.641 0.360 0.500
F: 0.302 0.100 0.000
F: 0.901 0.501 0.000
F: 0.499 0.099 0.000
F: 0.159 0.839 0.500
F: 0.760 0.240 0.500
F: 0.240 0.760 0.500
F: 0.839 0.159 0.500
F: 0.501 0.901 0.000
F: 0.099 0.499 0.000
F: 0.697 0.897 0.000
F: 0.360 0.641 0.500
F: 0.966 0.047 0.500
F: 0.434 0.551 0.500
F: 0.100 0.302 0.000

polymorph energy (0 for the lowest one) = 0 meV per atom
crystal system = orthorhombic
total moment = 41.0 μB per formula unit
energy of formation = -243 kJ per mole of atoms
volume = 380.1 Å³/cell

***

Li8Mn15CrO32: optimized geometry, GGA+U.

a b c (Å): 8.481 10.345 8.281
angles (deg): 66.84 89.46 114.06
Sites, in units of the cell vectors:
Li: 0.941 0.123 0.815
Li: 0.443 0.123 0.315
Li: 0.309 0.377 0.436
Li: 0.811 0.381 0.936
Li: 0.188 0.614 0.066
Li: 0.690 0.620 0.563
Li: 0.559 0.877 0.686
Li: 0.062 0.883 0.181
Mn: 0.250 0.999 0.754
Mn: 0.496 0.998 0.001
Mn: 0.750 0.003 0.248
Mn: 0.388 0.259 0.869
Mn: 0.879 0.252 0.375
Mn: 0.627 0.255 0.625
Mn: 0.125 0.251 0.126
Mn: 0.249 0.497 0.751
Mn: 0.001 0.502 0.496
Mn: 0.756 0.503 0.248
Mn: 0.502 0.497 0.000
Mn: 0.873 0.747 0.875
Mn: 0.372 0.743 0.376
Mn: 0.118 0.745 0.627
Mn: 0.616 0.743 0.129
Cr: 0.998 0.999 0.502
O: 0.993 0.022 0.247
O: 0.769 0.020 0.478
O: 0.480 0.999 0.769
O: 0.273 0.028 0.977
O: 0.099 0.235 0.378
O: 0.879 0.255 0.146
O: 0.610 0.251 0.860
O: 0.395 0.257 0.638
O: 0.159 0.268 0.873
O: 0.392 0.272 0.099
O: 0.653 0.266 0.382
O: 0.875 0.272 0.606
O: 0.499 0.487 0.775
O: 0.997 0.480 0.276
O: 0.265 0.483 0.996
O: 0.782 0.511 0.473
O: 0.238 0.513 0.506
O: 0.741 0.517 0.005
O: 0.005 0.520 0.719
O: 0.507 0.516 0.223
O: 0.849 0.740 0.113
O: 0.345 0.732 0.620
O: 0.631 0.734 0.895
O: 0.136 0.736 0.391
O: 0.095 0.738 0.862
O: 0.895 0.760 0.633
O: 0.389 0.745 0.144
O: 0.598 0.740 0.362
O: 0.725 0.974 0.025
O: 0.003 0.975 0.756
O: 0.227 0.975 0.526
O: 0.499 0.973 0.251

crystal system = triclinic
total moment = 55.0 μB per formula unit
energy of formation = -201 kJ per mole of atoms
volume = 597.3 Å³/cell

***

CsMo2H2C7S7O21F21: optimized geometry, GGA+U.

a b c (Å): 12.007 15.895 12.087
angles (deg): 90.00 113.25 90.00
Sites, in units of the cell vectors:
Cs: 0.042 0.750 0.096
Cs: 0.958 0.250 0.904
Mo: 0.973 0.841 0.557
Mo: 0.027 0.341 0.443
Mo: 0.027 0.159 0.443
Mo: 0.973 0.659 0.557
H: 0.168 0.994 0.211
H: 0.832 0.494 0.789
H: 0.832 0.006 0.789
H: 0.168 0.506 0.211
C: 0.653 0.750 0.645
C: 0.347 0.250 0.355
C: 0.339 0.750 0.789
C: 0.661 0.250 0.211
C: 0.637 0.750 0.215
C: 0.363 0.250 0.785
C: 0.293 0.953 0.522
C: 0.707 0.453 0.478
C: 0.707 0.047 0.478
C: 0.293 0.547 0.522
C: 0.343 0.982 0.078
C: 0.657 0.482 0.922
C: 0.657 0.018 0.922
C: 0.343 0.518 0.078
S: 0.822 0.750 0.701
S: 0.178 0.250 0.299
S: 0.185 0.750 0.796
S: 0.815 0.250 0.204
S: 0.804 0.750 0.308
S: 0.196 0.250 0.692
S: 0.132 0.935 0.415
S: 0.868 0.435 0.585
S: 0.868 0.065 0.585
S: 0.132 0.565 0.415
S: 0.180 0.011 0.039
S: 0.820 0.511 0.961
S: 0.820 0.989 0.961
S: 0.180 0.489 0.039
O: 0.821 0.828 0.380
O: 0.179 0.328 0.620
O: 0.179 0.172 0.620
O: 0.821 0.672 0.380
O: 0.096 0.860 0.466
O: 0.904 0.360 0.534
O: 0.904 0.140 0.534
O: 0.096 0.640 0.466
O: 0.847 0.827 0.646
O: 0.153 0.327 0.354
O: 0.153 0.173 0.354
O: 0.847 0.673 0.646
O: 0.128 0.828 0.730
O: 0.872 0.328 0.270
O: 0.872 0.172 0.270
O: 0.128 0.672 0.730
O: 0.208 0.750 0.922
O: 0.792 0.250 0.078
O: 0.067 0.011 0.420
O: 0.933 0.511 0.580
O: 0.933 0.989 0.580
O: 0.067 0.489 0.420
O: 0.866 0.750 0.830
O: 0.134 0.250 0.170
O: 0.140 0.917 0.300
O: 0.860 0.417 0.700
O: 0.860 0.083 0.700
O: 0.140 0.583 0.300
O: 0.862 0.750 0.224
O: 0.138 0.250 0.776
O: 0.188 0.041 0.166
O: 0.812 0.541 0.834
O: 0.812 0.959 0.834
O: 0.188 0.459 0.166
O: 0.110 0.935 0.002
O: 0.890 0.435 0.998
O: 0.890 0.065 0.998
O: 0.110 0.565 0.002
O: 0.157 0.084 0.962
O: 0.843 0.584 0.038
O: 0.843 0.916 0.038
O: 0.157 0.416 0.962
F: 0.617 0.819 0.688
F: 0.383 0.319 0.312
F: 0.383 0.181 0.312
F: 0.617 0.681 0.688
F: 0.600 0.750 0.524
F: 0.400 0.250 0.476
F: 0.298 0.964 0.635
F: 0.702 0.464 0.365
F: 0.702 0.036 0.365
F: 0.298 0.536 0.635
F: 0.334 0.022 0.487
F: 0.666 0.522 0.513
F: 0.666 0.978 0.513
F: 0.334 0.478 0.487
F: 0.363 0.887 0.521
F: 0.637 0.387 0.479
F: 0.637 0.113 0.479
F: 0.363 0.613 0.521
F: 0.400 0.819 0.845
F: 0.600 0.319 0.155
F: 0.600 0.181 0.155
F: 0.400 0.681 0.845
F: 0.610 0.819 0.145
F: 0.390 0.319 0.855
F: 0.390 0.181 0.855
F: 0.610 0.681 0.145
F: 0.328 0.750 0.674
F: 0.672 0.250 0.326
F: 0.572 0.750 0.284
F: 0.428 0.250 0.716
F: 0.418 0.046 0.130
F: 0.582 0.546 0.870
F: 0.582 0.954 0.870
F: 0.418 0.454 0.130
F: 0.356 0.959 0.977
F: 0.644 0.459 0.023
F: 0.644 0.041 0.023
F: 0.356 0.541 0.977
F: 0.372 0.916 0.156
F: 0.628 0.416 0.844
F: 0.628 0.084 0.844
F: 0.372 0.584 0.156

crystal system = monoclinic
total moment = 6.1 μB per formula unit
energy of formation = -169 kJ per mole of atoms
volume = 2119.4 Å³/cell

***

MoH12C2N6O4: optimized geometry, GGA+U.

a b c (Å): 7.081 6.635 10.812
angles (deg): 82.64 90.00 90.00
Sites, in units of the cell vectors:
Mo: 0.250 0.231 0.759
Mo: 0.750 0.769 0.241
H: 0.372 0.690 0.124
H: 0.872 0.310 0.876
H: 0.628 0.310 0.876
H: 0.128 0.690 0.124
H: 0.538 0.388 0.126
H: 0.038 0.612 0.874
H: 0.462 0.612 0.874
H: 0.962 0.388 0.126
H: 0.425 0.154 0.126
H: 0.925 0.846 0.874
H: 0.575 0.846 0.874
H: 0.075 0.154 0.126
H: 0.372 0.886 0.332
H: 0.872 0.114 0.668
H: 0.628 0.114 0.668
H: 0.128 0.886 0.332
H: 0.539 0.761 0.515
H: 0.039 0.239 0.485
H: 0.461 0.239 0.485
H: 0.961 0.761 0.515
H: 0.408 0.677 0.651
H: 0.908 0.323 0.349
H: 0.592 0.323 0.349
H: 0.092 0.677 0.651
C: 0.250 0.409 0.117
C: 0.750 0.591 0.883
C: 0.250 0.790 0.502
C: 0.750 0.210 0.498
N: 0.250 0.612 0.113
N: 0.750 0.388 0.887
N: 0.415 0.310 0.116
N: 0.915 0.690 0.884
N: 0.585 0.690 0.884
N: 0.085 0.310 0.116
N: 0.250 0.871 0.382
N: 0.750 0.129 0.618
N: 0.413 0.753 0.563
N: 0.913 0.247 0.437
N: 0.587 0.247 0.437
N: 0.087 0.753 0.563
O: 0.250 0.490 0.797
O: 0.750 0.510 0.203
O: 0.250 0.237 0.593
O: 0.750 0.763 0.407
O: 0.463 0.106 0.819
O: 0.963 0.894 0.181
O: 0.537 0.894 0.181
O: 0.037 0.106 0.819

crystal system = monoclinic
total moment = 0.0 μB per formula unit
energy of formation = -66 kJ per mole of atoms
volume = 503.8 Å³/cell

***

PrFe4Cu3O12: optimized geometry, GGA+U.

a b c (Å): 6.496 6.496 6.496
angles (deg): 109.47 109.47 109.47
Sites, in units of the cell vectors:
Pr: 0.000 0.000 0.000
Fe: 0.000 0.000 0.500
Fe: 0.500 0.000 0.000
Fe: 0.000 0.500 0.000
Fe: 0.500 0.500 0.500
Cu: 0.500 0.000 0.500
Cu: 0.000 0.500 0.500
Cu: 0.500 0.500 0.000
O: 0.166 0.855 0.689
O: 0.834 0.145 0.311
O: 0.834 0.523 0.689
O: 0.166 0.477 0.311
O: 0.855 0.689 0.166
O: 0.145 0.311 0.834
O: 0.523 0.689 0.834
O: 0.477 0.311 0.166
O: 0.689 0.166 0.855
O: 0.311 0.834 0.145
O: 0.689 0.834 0.523
O: 0.311 0.166 0.477

crystal system = cubic
total moment = 19.9 μB per formula unit
energy of formation = -159 kJ per mole of atoms
volume = 211.1 Å³/cell

***

LiFe2OF3: optimized geometry, GGA+U.

a b c (Å): 6.224 6.229 8.843
angles (deg): 90.00 90.00 90.00
Sites, in units of the cell vectors:
Li: 0.750 0.468 0.608
Li: 0.250 0.532 0.392
Li: 0.250 0.032 0.108
Li: 0.750 0.968 0.892
Fe: 0.000 0.000 0.500
Fe: 0.500 0.000 0.500
Fe: 0.750 0.749 0.239
Fe: 0.750 0.249 0.261
Fe: 0.000 0.500 0.000
Fe: 0.500 0.500 0.000
Fe: 0.250 0.251 0.761
Fe: 0.250 0.751 0.739
O: 0.750 0.198 0.482
O: 0.250 0.802 0.518
O: 0.250 0.302 0.982
O: 0.750 0.698 0.018
F: 0.750 0.737 0.474
F: 0.250 0.263 0.526
F: 0.503 0.497 0.255
F: 0.997 0.497 0.255
F: 0.997 0.997 0.245
F: 0.503 0.997 0.245
F: 0.250 0.763 0.974
F: 0.750 0.237 0.026
F: 0.003 0.003 0.755
F: 0.497 0.003 0.755
F: 0.003 0.503 0.745
F: 0.497 0.503 0.745

polymorph energy (0 for the lowest one) = 16 meV per atom
crystal system = orthorhombic
total moment = 8.0 μB per formula unit
energy of formation = -230 kJ per mole of atoms
volume = 342.9 Å³/cell

***

NaCaYFeO6: optimized geometry, GGA+U.

a b c (Å): 5.703 5.703 5.703
angles (deg): 60.00 60.00 60.00
Sites, in units of the cell vectors:
Na: 0.250 0.250 0.250
Ca: 0.750 0.750 0.750
Y: 0.500 0.500 0.500
Fe: 0.000 0.000 0.000
O: 0.771 0.229 0.229
O: 0.229 0.771 0.771
O: 0.771 0.229 0.771
O: 0.229 0.771 0.229
O: 0.771 0.771 0.229
O: 0.229 0.229 0.771

crystal system = cubic
total moment = 4.0 μB per formula unit
energy of formation = -211 kJ per mole of atoms
volume = 131.2 Å³/cell